# Li2FeP8O24 GGA+U relaxed
# * E_tot: -6.79 eV per atom
# * energy of formation: -2349 meV/atom
data_Li2FeP8O24
_chemical_formula_sum 'Li2 Fe1 P8 O24'
_symmetry_space_group_name_H-M 'P 1'
_symmetry_Int_Tables_number 1
_symmetry_space_group_name_Hall 'P 1'
_cell_length_a 7.2566
_cell_length_b 7.2975
_cell_length_c 9.7732
_cell_angle_alpha 69.58
_cell_angle_beta 82.02
_cell_angle_gamma 109.91
loop_
_atom_site_label
_atom_site_fract_x
_atom_site_fract_y
_atom_site_fract_z
_atom_site_occupancy
Li1 0.4879 0.9971 0.5053 1
Li2 0.0522 0.8024 0.7520 1
Fe1 0.9499 0.1949 0.2468 1
P1 0.7057 0.5079 0.2965 1
P2 0.2583 0.2919 0.4725 1
P3 0.6858 0.9927 0.8110 1
P4 0.3023 0.4963 0.6899 1
P5 0.7245 0.2721 0.9814 1
P6 0.2632 0.7309 0.0278 1
P7 0.7528 0.7056 0.5207 1
P8 0.3044 0.0031 0.2028 1
O1 0.1910 0.8672 0.9154 1
O2 0.4871 0.2055 0.0613 1
O3 0.7268 0.8985 0.4135 1
O4 0.7341 0.3052 0.3114 1
O5 0.7698 0.5546 0.4361 1
O6 0.2314 0.4446 0.5546 1
O7 0.8810 0.9604 0.8082 1
O8 0.9214 0.7435 0.5918 1
O9 0.8165 0.7020 0.1480 1
O10 0.5012 0.7878 0.9467 1
O11 0.4652 0.4576 0.3310 1
O12 0.0836 0.2521 0.4039 1
O13 0.1149 0.0451 0.1945 1
O14 0.2856 0.7980 0.1678 1
O15 0.6501 0.0355 0.6573 1
O16 0.1893 0.3071 0.8447 1
O17 0.8074 0.1428 0.0925 1
O18 0.3551 0.9629 0.3492 1
O19 0.2764 0.6942 0.6844 1
O20 0.8339 0.5111 0.9086 1
O21 0.1571 0.4890 0.0966 1
O22 0.6994 0.1926 0.8471 1
O23 0.5400 0.5421 0.6541 1
O24 0.2924 0.1118 0.5786 1